# 1
TbPaO4, optimized geometry, DFT r²SCAN; formation energy = -4.068 eV/atom; symmetry = P4/mmm (123); calculated volume = 12.92 Å³/atom; energy = -26.063 eV per atom
1.0
3.795 0.000 0.000
0.000 3.795 0.000
0.000 0.000 5.382
O Tb Pa
4 1 1
direct
0.500 0.000 0.739 O
0.000 0.500 0.739 O
0.500 0.000 0.261 O
0.000 0.500 0.261 O
0.000 0.000 0.000 Tb
0.500 0.500 0.500 Pa


# 2
K2SrV4O12, optimized geometry, DFT r²SCAN; formation energy = -2.654 eV/atom; symmetry = P4/nbm (125); calculated volume = 16.83 Å³/atom; energy = -10.823 eV per atom
1.0
10.923 0.000 0.000
0.000 10.923 0.000
0.000 0.000 5.359
O V Sr K
24 8 2 4
direct
0.694 0.454 0.238 O
0.124 0.376 0.104 O
0.376 0.124 0.896 O
0.124 0.624 0.896 O
0.876 0.624 0.104 O
0.306 0.546 0.238 O
0.624 0.124 0.104 O
0.046 0.194 0.762 O
0.624 0.876 0.896 O
0.954 0.806 0.762 O
0.806 0.046 0.762 O
0.376 0.876 0.104 O
0.954 0.194 0.238 O
0.876 0.376 0.896 O
0.454 0.306 0.238 O
0.194 0.046 0.238 O
0.546 0.306 0.762 O
0.046 0.806 0.238 O
0.194 0.954 0.762 O
0.454 0.694 0.762 O
0.806 0.954 0.238 O
0.694 0.546 0.762 O
0.306 0.454 0.762 O
0.546 0.694 0.238 O
0.000 0.720 0.000 V
0.220 0.500 0.000 V
0.500 0.220 0.000 V
0.280 0.000 0.000 V
0.000 0.280 0.000 V
0.500 0.780 0.000 V
0.720 0.000 0.000 V
0.780 0.500 0.000 V
0.000 0.000 0.500 Sr
0.500 0.500 0.500 Sr
0.750 0.250 0.500 K
0.250 0.750 0.500 K
0.250 0.250 0.500 K
0.750 0.750 0.500 K


# 3
GdP5O14, optimized geometry, DFT r²SCAN; formation energy = -2.556 eV/atom; symmetry = P2_1/c (14); calculated volume = 12.59 Å³/atom; energy = -11.157 eV per atom
1.0
8.908 0.000 0.000
0.000 8.742 0.003
0.000 0.097 12.939
O P Gd
56 20 4
direct
0.082 0.907 0.239 O
0.903 0.374 0.772 O
0.383 0.412 0.149 O
0.124 0.079 0.387 O
0.920 0.132 0.256 O
0.876 0.921 0.613 O
0.117 0.412 0.649 O
0.883 0.917 0.379 O
0.582 0.093 0.261 O
0.919 0.291 0.499 O
0.192 0.778 0.901 O
0.097 0.626 0.228 O
0.580 0.132 0.756 O
0.382 0.414 0.853 O
0.617 0.588 0.851 O
0.096 0.233 0.885 O
0.313 0.792 0.589 O
0.426 0.593 0.290 O
0.186 0.531 0.005 O
0.118 0.414 0.353 O
0.406 0.222 0.610 O
0.419 0.709 0.001 O
0.420 0.868 0.244 O
0.094 0.222 0.110 O
0.808 0.222 0.099 O
0.596 0.767 0.615 O
0.376 0.079 0.887 O
0.813 0.208 0.911 O
0.686 0.469 0.495 O
0.404 0.233 0.385 O
0.117 0.083 0.621 O
0.814 0.469 0.995 O
0.687 0.208 0.411 O
0.308 0.778 0.401 O
0.581 0.291 0.999 O
0.574 0.407 0.710 O
0.918 0.093 0.761 O
0.187 0.792 0.089 O
0.403 0.626 0.728 O
0.692 0.222 0.599 O
0.383 0.083 0.121 O
0.074 0.593 0.790 O
0.080 0.868 0.744 O
0.081 0.709 0.501 O
0.904 0.767 0.115 O
0.926 0.407 0.210 O
0.906 0.778 0.890 O
0.618 0.586 0.147 O
0.314 0.531 0.505 O
0.594 0.778 0.390 O
0.617 0.917 0.879 O
0.882 0.586 0.647 O
0.883 0.588 0.351 O
0.624 0.921 0.113 O
0.418 0.907 0.739 O
0.597 0.374 0.272 O
0.449 0.772 0.664 P
0.756 0.315 0.500 P
0.048 0.756 0.835 P
0.452 0.756 0.335 P
0.998 0.994 0.672 P
0.548 0.244 0.665 P
0.256 0.685 0.000 P
0.002 0.006 0.328 P
0.498 0.006 0.828 P
0.551 0.228 0.336 P
0.995 0.493 0.702 P
0.244 0.685 0.500 P
0.952 0.244 0.165 P
0.495 0.507 0.798 P
0.051 0.772 0.164 P
0.502 0.994 0.172 P
0.005 0.507 0.298 P
0.505 0.493 0.202 P
0.949 0.228 0.836 P
0.744 0.315 0.000 P
0.191 0.277 0.501 Gd
0.809 0.723 0.499 Gd
0.691 0.723 0.999 Gd
0.309 0.277 0.001 Gd


# 4
Cd4As2Cl3, optimized geometry, DFT r²SCAN; formation energy = -0.733 eV/atom; symmetry = Pa-3 (205); calculated volume = 27.34 Å³/atom; energy = -14.988 eV per atom
1.0
-8.298 8.257 4.475
-5.156 0.986 -11.379
-7.849 -9.376 2.744
Cd Cl As
32 24 16
direct
0.480 0.245 0.475 Cd
0.745 0.475 0.020 Cd
0.245 0.475 0.480 Cd
0.980 0.255 0.525 Cd
0.755 0.975 0.020 Cd
0.480 0.255 0.975 Cd
0.255 0.525 0.980 Cd
0.245 0.025 0.980 Cd
0.520 0.745 0.025 Cd
0.975 0.480 0.255 Cd
0.475 0.480 0.245 Cd
0.222 0.278 0.722 Cd
0.525 0.520 0.755 Cd
0.020 0.745 0.475 Cd
0.020 0.755 0.975 Cd
0.745 0.025 0.520 Cd
0.980 0.245 0.025 Cd
0.222 0.222 0.222 Cd
0.975 0.020 0.755 Cd
0.778 0.722 0.278 Cd
0.025 0.520 0.745 Cd
0.520 0.755 0.525 Cd
0.755 0.525 0.520 Cd
0.255 0.975 0.480 Cd
0.722 0.222 0.278 Cd
0.525 0.980 0.255 Cd
0.722 0.278 0.778 Cd
0.025 0.980 0.245 Cd
0.475 0.020 0.745 Cd
0.278 0.722 0.222 Cd
0.778 0.778 0.778 Cd
0.278 0.778 0.722 Cd
0.271 0.182 0.423 Cl
0.318 0.923 0.271 Cl
0.423 0.229 0.682 Cl
0.818 0.577 0.729 Cl
0.077 0.729 0.682 Cl
0.182 0.423 0.271 Cl
0.682 0.077 0.729 Cl
0.729 0.682 0.077 Cl
0.077 0.771 0.182 Cl
0.771 0.182 0.077 Cl
0.577 0.729 0.818 Cl
0.923 0.271 0.318 Cl
0.682 0.423 0.229 Cl
0.182 0.077 0.771 Cl
0.771 0.318 0.577 Cl
0.818 0.923 0.229 Cl
0.923 0.229 0.818 Cl
0.229 0.682 0.423 Cl
0.318 0.577 0.771 Cl
0.271 0.318 0.923 Cl
0.423 0.271 0.182 Cl
0.729 0.818 0.577 Cl
0.577 0.771 0.318 Cl
0.229 0.818 0.923 Cl
0.104 0.104 0.104 As
0.555 0.555 0.555 As
0.945 0.445 0.055 As
0.396 0.604 0.104 As
0.896 0.896 0.896 As
0.445 0.055 0.945 As
0.896 0.604 0.396 As
0.604 0.396 0.896 As
0.396 0.896 0.604 As
0.055 0.555 0.945 As
0.945 0.055 0.555 As
0.104 0.396 0.604 As
0.055 0.945 0.445 As
0.445 0.445 0.445 As
0.604 0.104 0.396 As
0.555 0.945 0.055 As


# 5
HoAg2, optimized geometry, DFT r²SCAN; formation energy = -0.340 eV/atom; symmetry = I4/mmm (139); calculated volume = 20.83 Å³/atom; energy = -25.537 eV per atom
1.0
-2.330 -0.012 2.870
-2.266 -2.262 -1.849
4.477 -2.480 1.243
Ag Ho
2 1
direct
0.331 0.331 0.661 Ag
0.669 0.669 0.339 Ag
0.000 0.000 0.000 Ho


# 6
Al4Cu9, optimized geometry, DFT r²SCAN; formation energy = -0.233 eV/atom; symmetry = P-43m (215); calculated volume = 12.31 Å³/atom; energy = -9.814 eV per atom
1.0
-5.026 -4.532 5.336
2.935 -7.327 -3.459
6.355 -0.200 5.817
Cu Al
36 16
direct
0.968 0.684 0.316 Cu
0.684 0.684 0.032 Cu
0.395 0.395 0.605 Cu
0.316 0.968 0.684 Cu
0.854 0.500 0.500 Cu
0.968 0.316 0.684 Cu
0.316 0.684 0.968 Cu
0.674 0.674 0.326 Cu
0.000 0.355 0.000 Cu
0.326 0.674 0.674 Cu
0.032 0.684 0.684 Cu
0.500 0.146 0.500 Cu
0.326 0.326 0.326 Cu
0.032 0.316 0.316 Cu
0.000 0.000 0.645 Cu
0.000 0.645 0.000 Cu
0.605 0.605 0.605 Cu
0.684 0.968 0.316 Cu
0.500 0.500 0.146 Cu
0.674 0.326 0.674 Cu
0.355 0.000 0.000 Cu
0.605 0.395 0.395 Cu
0.316 0.316 0.032 Cu
0.170 0.830 0.170 Cu
0.500 0.854 0.500 Cu
0.146 0.500 0.500 Cu
0.684 0.032 0.684 Cu
0.645 0.000 0.000 Cu
0.500 0.500 0.854 Cu
0.170 0.170 0.830 Cu
0.684 0.316 0.968 Cu
0.395 0.605 0.395 Cu
0.830 0.830 0.830 Cu
0.316 0.032 0.316 Cu
0.000 0.000 0.355 Cu
0.830 0.170 0.170 Cu
0.810 0.190 0.465 Al
0.120 0.120 0.120 Al
0.880 0.880 0.120 Al
0.810 0.465 0.190 Al
0.535 0.810 0.810 Al
0.810 0.535 0.810 Al
0.190 0.190 0.535 Al
0.465 0.190 0.810 Al
0.120 0.880 0.880 Al
0.190 0.535 0.190 Al
0.465 0.810 0.190 Al
0.190 0.465 0.810 Al
0.810 0.810 0.535 Al
0.535 0.190 0.190 Al
0.880 0.120 0.880 Al
0.190 0.810 0.465 Al


# 7
K2ZnCl4, optimized geometry, DFT r²SCAN; formation energy = -1.834 eV/atom; symmetry = Pna2_1 (33); calculated volume = 28.53 Å³/atom; energy = -8.342 eV per atom
1.0
-4.653 4.784 -2.592
-5.824 -2.246 6.309
4.820 8.797 7.582
Cl K Zn
16 8 4
direct
0.746 0.817 0.909 Cl
0.246 0.683 0.409 Cl
0.007 0.692 0.663 Cl
0.507 0.308 0.337 Cl
0.507 0.808 0.163 Cl
0.790 0.466 0.074 Cl
0.512 0.174 0.851 Cl
0.246 0.183 0.091 Cl
0.007 0.192 0.837 Cl
0.290 0.034 0.574 Cl
0.512 0.674 0.649 Cl
0.012 0.826 0.149 Cl
0.746 0.317 0.591 Cl
0.790 0.966 0.426 Cl
0.012 0.326 0.351 Cl
0.290 0.534 0.926 Cl
0.743 0.618 0.429 K
0.243 0.882 0.929 K
0.740 0.983 0.681 K
0.743 0.118 0.071 K
0.240 0.517 0.181 K
0.243 0.382 0.571 K
0.740 0.483 0.819 K
0.240 0.017 0.319 K
0.257 0.284 0.925 Zn
0.257 0.784 0.575 Zn
0.757 0.216 0.425 Zn
0.757 0.716 0.075 Zn


# 8
V3BO6, optimized geometry, DFT r²SCAN; formation energy = -2.668 eV/atom; symmetry = Pnma (62); calculated volume = 9.51 Å³/atom; energy = -11.213 eV per atom
1.0
4.452 0.000 0.000
0.000 8.590 0.000
0.000 0.000 9.943
O V B
24 12 4
direct
0.276 0.111 0.284 O
0.779 0.750 0.422 O
0.238 0.588 0.034 O
0.224 0.111 0.784 O
0.762 0.088 0.966 O
0.776 0.611 0.216 O
0.258 0.750 0.783 O
0.758 0.250 0.717 O
0.724 0.889 0.716 O
0.742 0.250 0.217 O
0.262 0.588 0.534 O
0.724 0.611 0.716 O
0.242 0.750 0.283 O
0.224 0.389 0.784 O
0.762 0.412 0.966 O
0.238 0.912 0.034 O
0.221 0.250 0.578 O
0.262 0.912 0.534 O
0.721 0.750 0.922 O
0.738 0.088 0.466 O
0.276 0.389 0.284 O
0.279 0.250 0.078 O
0.776 0.889 0.216 O
0.738 0.412 0.466 O
0.520 0.250 0.901 V
0.020 0.750 0.599 V
0.480 0.750 0.099 V
0.507 0.067 0.623 V
0.007 0.567 0.877 V
0.980 0.250 0.401 V
0.493 0.567 0.377 V
0.507 0.433 0.623 V
0.493 0.933 0.377 V
0.993 0.067 0.123 V
0.007 0.933 0.877 V
0.993 0.433 0.123 V
0.919 0.750 0.284 B
0.419 0.250 0.216 B
0.081 0.250 0.716 B
0.581 0.750 0.784 B


# 9
Tm3Cu4Si4, optimized geometry, DFT r²SCAN; formation energy = -0.685 eV/atom; symmetry = Immm (71); calculated volume = 16.10 Å³/atom; energy = -17.398 eV per atom
1.0
1.515 6.066 4.559
-5.138 5.728 0.817
1.836 -7.476 0.791
Cu Si Tm
4 4 3
direct
0.361 0.670 0.691 Cu
0.639 0.330 0.309 Cu
0.022 0.330 0.691 Cu
0.978 0.670 0.309 Cu
0.685 0.500 0.185 Si
0.216 0.216 0.000 Si
0.315 0.500 0.815 Si
0.784 0.784 0.000 Si
0.000 0.000 0.000 Tm
0.370 0.870 0.500 Tm
0.630 0.130 0.500 Tm


Among the records above, which one has the lowest calculated volume?
V3BO6